(1)
Crystalline AcMnO3 at its relaxed geometry. Source: the Materials Project database, functional PBE with a Hubbard U.

a b c (Å): 4.010 4.010 4.010
angles (deg): 90.00 90.00 90.00
Space group Pm-3m (No. 221)
Symmetry-distinct sites (fractional):
Ac  0.000  0.000  0.000 [1 per cell]
Mn  0.500  0.500  0.500 [1 per cell]
O  0.000  0.500  0.500 [3 per cell]



(2)
Crystalline Ba4Mn2Ag2As4O17 at its relaxed geometry. Source: the Materials Project database, functional PBE with a Hubbard U.

Results
- magnetization (μB per cell) = 8.0

a b c (Å): 5.993 8.887 9.629
angles (deg): 64.77 89.67 89.74
Space group P1 (No. 1)
Symmetry-distinct sites (fractional):
Ba  0.000  0.000  0.000 [1 per cell]
Ba  0.003  0.539  0.865 [1 per cell]
Ba  0.475  0.976  0.663 [1 per cell]
Ba  0.484  0.519  0.535 [1 per cell]
Mn  0.235  0.258  0.268 [1 per cell]
Mn  0.731  0.257  0.268 [1 per cell]
Ag  0.489  0.921  0.268 [1 per cell]
Ag  0.985  0.589  0.266 [1 per cell]
As  0.489  0.263  0.948 [1 per cell]
As  0.515  0.660  0.064 [1 per cell]
As  0.982  0.245  0.592 [1 per cell]
As  0.995  0.852  0.462 [1 per cell]
O  0.036  0.804  0.307 [1 per cell]
O  0.217  0.773  0.584 [1 per cell]
O  0.225  0.289  0.481 [1 per cell]
O  0.244  0.219  0.058 [1 per cell]
O  0.253  0.737  0.980 [1 per cell]
O  0.478  0.436  0.174 [1 per cell]
O  0.482  0.112  0.350 [1 per cell]
O  0.486  0.472  0.829 [1 per cell]
O  0.489  0.139  0.852 [1 per cell]
O  0.538  0.708  0.227 [1 per cell]
O  0.728  0.218  0.061 [1 per cell]
O  0.743  0.291  0.479 [1 per cell]
O  0.758  0.771  0.567 [1 per cell]
O  0.980  0.036  0.713 [1 per cell]
O  0.980  0.399  0.184 [1 per cell]
O  0.984  0.368  0.688 [1 per cell]
O  0.988  0.071  0.372 [1 per cell]



(3)
Crystalline Fe4AgAsXe2F6 at its relaxed geometry. Source: the Materials Project database, functional PBE with a Hubbard U.

Results
- magnetization (μB per cell) = 64.0

a b c (Å): 7.296 7.296 23.996
angles (deg): 90.00 90.00 90.00
Space group I-4c2 (No. 120)
Symmetry-distinct sites (fractional):
Fe  0.089  0.187  0.089 [16 per cell]
Ag  0.000  0.500  0.000 [4 per cell]
As  0.000  0.000  0.000 [4 per cell]
Xe  0.225  0.225  0.250 [8 per cell]
F  0.000  0.000  0.144 [8 per cell]
F  0.141  0.340  0.598 [16 per cell]



For the records above, the corresponding energy of formation from the pure elements values read -2.97 -2.19 -1.26 eV/atom.